1.
The following is a GGA+U calculation of LiV2OF7 after structural relaxation, from the Materials Project database.

a b c (Å): 5.856 8.716 5.872
angles (deg): 91.29 95.88 88.89
Element x y z (fractional)
Li 0.265 0.119 0.026
Li 0.765 0.619 0.527
V 0.249 0.760 0.242
V 0.005 0.003 0.486
V 0.749 0.259 0.742
V 0.505 0.503 0.986
O 0.718 0.473 0.771
O 0.218 0.973 0.272
F 0.519 0.271 0.978
F 0.019 0.771 0.478
F 0.280 0.528 0.223
F 0.780 0.028 0.723
F 0.478 0.730 0.016
F 0.978 0.230 0.516
F 0.985 0.242 0.973
F 0.485 0.742 0.474
F 0.722 0.506 0.237
F 0.222 0.006 0.737
F 0.260 0.499 0.781
F 0.761 0.999 0.280
F 0.019 0.740 0.022
F 0.519 0.240 0.522


2.
The following is a GGA+U calculation of LiV2OF7 after structural relaxation, from the Materials Project database.

a b c (Å): 5.661 10.979 5.738
angles (deg): 72.24 89.99 90.01
Element x y z (fractional)
Li 0.872 0.506 0.937
Li 0.628 0.006 0.438
V 0.251 0.685 0.455
V 0.249 0.185 0.955
V 0.764 0.811 0.068
V 0.736 0.311 0.568
O 0.971 0.745 0.305
O 0.528 0.245 0.805
F 0.107 0.303 0.067
F 0.393 0.803 0.567
F 0.350 0.095 0.262
F 0.150 0.595 0.762
F 0.709 0.407 0.250
F 0.791 0.907 0.750
F 0.436 0.779 0.146
F 0.064 0.279 0.646
F 0.740 0.163 0.469
F 0.760 0.663 0.969
F 0.319 0.545 0.378
F 0.181 0.045 0.878
F 0.741 0.961 0.163
F 0.759 0.461 0.663


Tell me which of them is the least stable. Sure, it is 2.


1.
The following is a GGA+U calculation of Li3V3O5F3 after structural relaxation, from the Materials Project database.

a b c (Å): 5.977 5.977 10.223
angles (deg): 106.22 88.83 60.82
Element x y z (fractional)
Li 0.865 0.246 0.381
Li 0.365 0.246 0.881
Li 0.937 0.621 0.684
Li 0.437 0.621 0.184
Li 0.688 0.626 0.938
Li 0.188 0.626 0.438
V 0.006 0.005 0.000
V 0.506 0.005 0.500
V 0.937 0.123 0.678
V 0.437 0.123 0.178
V 0.445 0.615 0.678
V 0.945 0.615 0.178
O 0.802 0.384 0.582
O 0.302 0.384 0.082
O 0.574 0.880 0.306
O 0.074 0.880 0.806
O 0.812 0.877 0.064
O 0.312 0.877 0.564
O 0.829 0.376 0.069
O 0.329 0.376 0.569
O 0.307 0.898 0.069
O 0.807 0.898 0.569
F 0.569 0.381 0.812
F 0.069 0.381 0.312
F 0.041 0.370 0.807
F 0.541 0.371 0.308
F 0.563 0.848 0.807
F 0.063 0.848 0.307


2.
The following is a GGA+U calculation of Li3V3O5F3 after structural relaxation, from the Materials Project database.

a b c (Å): 5.989 6.089 8.428
angles (deg): 88.90 89.31 91.80
Element x y z (fractional)
Li 0.488 0.519 0.505
Li 0.988 0.020 0.005
Li 0.512 0.991 0.243
Li 0.011 0.492 0.743
Li 0.246 0.996 0.627
Li 0.747 0.497 0.127
V 0.268 0.480 0.123
V 0.006 0.747 0.383
V 0.505 0.247 0.883
V 0.767 0.980 0.623
V 0.998 0.251 0.375
V 0.498 0.751 0.875
O 0.989 0.765 0.612
O 0.489 0.265 0.112
O 0.784 0.987 0.383
O 0.284 0.487 0.883
O 0.970 0.220 0.610
O 0.470 0.720 0.110
O 0.516 0.791 0.638
O 0.016 0.291 0.138
O 0.723 0.006 0.863
O 0.224 0.505 0.363
F 0.241 0.007 0.379
F 0.740 0.507 0.879
F 0.260 0.997 0.873
F 0.760 0.498 0.373
F 0.500 0.242 0.637
F 0.000 0.742 0.137


Tell me which of them is the least stable. Sure, it is 2.